Computed, not measured: PrSe2 after structural relaxation at the r2SCAN level of DFT.

Cell lengths 4.181, 4.181, 8.662 Å; angles 90.00, 90.00, 90.00 degrees
Atoms (fractional coordinates):
Pr 0.250 0.250 0.226
Pr 0.750 0.750 0.774
Se 0.250 0.250 0.868
Se 0.250 0.750 0.500
Se 0.750 0.250 0.500
Se 0.750 0.750 0.132

Values from the calculation:
As for the volume: 151 Å³ per cell. As for the calculated formation energy: -1.8582 eV per atom.

=====

Computed, not measured: HfSiOs after structural relaxation at the r2SCAN level of DFT.

Cell lengths 7.565, 7.565, 7.565 Å; angles 121.66, 81.93, 127.99 degrees
Atoms (fractional coordinates):
Hf 0.003 0.250 0.253
Hf 0.134 0.105 0.529
Hf 0.181 0.628 0.053
Hf 0.575 0.128 0.947
Hf 0.575 0.605 0.471
Hf 0.997 0.750 0.747
Si 0.246 0.072 0.161
Si 0.246 0.585 0.674
Si 0.564 0.340 0.724
Si 0.616 0.840 0.276
Si 0.911 0.085 0.839
Si 0.911 0.572 0.326
Os 0.333 0.333 0.000
Os 0.333 0.833 0.500
Os 0.581 0.178 0.348
Os 0.581 0.733 0.903
Os 0.830 0.233 0.652
Os 0.830 0.678 0.097

Values from the calculation:
As for the volume: 279 Å³ per cell. As for the calculated formation energy: -0.9374 eV per atom.

=====

Computed, not measured: YIn3 after structural relaxation at the r2SCAN level of DFT.

Cell lengths 4.626, 4.626, 4.626 Å; angles 90.00, 90.00, 90.00 degrees
Atoms (fractional coordinates):
Y 0.000 0.000 0.000
In 0.000 0.500 0.500
In 0.500 0.000 0.500
In 0.500 0.500 0.000

Values from the calculation:
As for the volume: 99 Å³ per cell. As for the calculated formation energy: -0.5225 eV per atom.

=====

Computed, not measured: TaTiMn2 after structural relaxation at the r2SCAN level of DFT.

Cell lengths 6.023, 6.023, 6.023 Å; angles 90.00, 90.00, 90.00 degrees
Atoms (fractional coordinates):
Ta 0.000 0.000 0.000
Ta 0.000 0.500 0.500
Ta 0.500 0.000 0.500
Ta 0.500 0.500 0.000
Ti 0.000 0.000 0.500
Ti 0.000 0.500 0.000
Ti 0.500 0.000 0.000
Ti 0.500 0.500 0.500
Mn 0.250 0.250 0.250
Mn 0.250 0.250 0.750
Mn 0.250 0.750 0.250
Mn 0.250 0.750 0.750
Mn 0.750 0.250 0.250
Mn 0.750 0.250 0.750
Mn 0.750 0.750 0.250
Mn 0.750 0.750 0.750

Values from the calculation:
As for the volume: 218 Å³ per cell. As for the calculated formation energy: -0.1825 eV per atom.

=====

The records above yield size of the total moment values of 0.000, 0.000, 0.000, 2.469 Bohr magnetons per cell, respectively.
The records above yield final energy values of -21.20, -36.57, -22.53, -22.91 eV/atom, respectively.